# 1
Compound: YMg6NiO8
Source: the Materials Project database
Functional: GGA+U
Structure: optimized geometry

The structure in CIF format:
```
data_YMg6NiO8
_cell_length_a 4.345
_cell_length_b 4.345
_cell_length_c 8.961
_cell_angle_alpha 90.00
_cell_angle_beta 90.00
_cell_angle_gamma 90.00
_symmetry_space_group_name_H-M 'P 1'
_symmetry_Int_Tables_number 1
loop_
_symmetry_equiv_pos_as_xyz
'x,y,z'
loop_
_atom_site_label
_atom_site_type_symbol
_atom_site_fract_x
_atom_site_fract_y
_atom_site_fract_z
Y1 Y 0.000 0.000 0.000
Mg1 Mg 0.000 0.000 0.500
Mg2 Mg 0.000 0.500 0.263
Mg3 Mg 0.000 0.500 0.737
Mg4 Mg 0.500 0.000 0.263
Mg5 Mg 0.500 0.000 0.737
Mg6 Mg 0.500 0.500 0.500
Ni1 Ni 0.500 0.500 0.000
O1 O 0.000 0.000 0.260
O2 O 0.000 0.000 0.740
O3 O 0.000 0.500 0.000
O4 O 0.000 0.500 0.500
O5 O 0.500 0.000 0.000
O6 O 0.500 0.000 0.500
O7 O 0.500 0.500 0.272
O8 O 0.500 0.500 0.728
```

Results
For the total magnetization, the calculation gives 1.00 μB per formula unit. As for the formation energy: -44.6 eV/f.u. The distance to the lowest polymorph of the same formula is 0.000 eV/atom. As for the raw total energy: -6.123 eV/atom.

# 2
Compound: LiV2O3F3
Source: the Materials Project database
Functional: GGA+U
Structure: optimized geometry

The structure in CIF format:
```
data_LiV2O3F3
_cell_length_a 10.175
_cell_length_b 10.280
_cell_length_c 10.745
_cell_angle_alpha 116.56
_cell_angle_beta 93.19
_cell_angle_gamma 117.88
_symmetry_space_group_name_H-M 'P 1'
_symmetry_Int_Tables_number 1
loop_
_symmetry_equiv_pos_as_xyz
'x,y,z'
loop_
_atom_site_label
_atom_site_type_symbol
_atom_site_fract_x
_atom_site_fract_y
_atom_site_fract_z
Li1 Li 0.000 0.000 0.000
Li2 Li 0.000 0.492 0.988
Li3 Li 0.037 0.554 0.569
Li4 Li 0.271 0.018 0.234
Li5 Li 0.272 0.515 0.229
Li6 Li 0.501 0.495 0.994
Li7 Li 0.501 0.995 0.991
Li8 Li 0.778 0.019 0.233
V1 V 0.147 0.253 0.895
V2 V 0.149 0.770 0.908
V3 V 0.174 0.308 0.414
V4 V 0.179 0.810 0.419
V5 V 0.395 0.802 0.186
V6 V 0.400 0.305 0.185
V7 V 0.414 0.293 0.659
V8 V 0.434 0.819 0.675
V9 V 0.647 0.756 0.900
V10 V 0.649 0.279 0.912
V11 V 0.673 0.307 0.412
V12 V 0.677 0.810 0.416
V13 V 0.894 0.793 0.183
V14 V 0.895 0.304 0.180
V15 V 0.909 0.792 0.661
V16 V 0.923 0.309 0.667
O1 O 0.006 0.760 0.797
O2 O 0.011 0.267 0.808
O3 O 0.077 0.534 0.788
O4 O 0.087 0.044 0.794
O5 O 0.282 0.371 0.297
O6 O 0.287 0.877 0.300
O7 O 0.314 0.332 0.540
O8 O 0.322 0.834 0.537
O9 O 0.327 0.354 0.048
O10 O 0.331 0.855 0.050
O11 O 0.473 0.246 0.289
O12 O 0.478 0.750 0.291
O13 O 0.503 0.267 0.806
O14 O 0.510 0.768 0.807
O15 O 0.576 0.037 0.788
O16 O 0.589 0.547 0.794
O17 O 0.776 0.356 0.299
O18 O 0.778 0.864 0.292
O19 O 0.821 0.836 0.539
O20 O 0.826 0.856 0.050
O21 O 0.832 0.345 0.044
O22 O 0.836 0.347 0.541
O23 O 0.981 0.256 0.291
O24 O 0.987 0.760 0.294
F1 F 0.024 0.234 0.531
F2 F 0.024 0.721 0.037
F3 F 0.027 0.719 0.530
F4 F 0.033 0.230 0.039
F5 F 0.093 0.048 0.278
F6 F 0.096 0.548 0.284
F7 F 0.212 0.046 0.057
F8 F 0.213 0.557 0.065
F9 F 0.228 0.554 0.554
F10 F 0.229 0.044 0.552
F11 F 0.295 0.844 0.800
F12 F 0.299 0.354 0.807
F13 F 0.522 0.218 0.035
F14 F 0.527 0.737 0.535
F15 F 0.529 0.726 0.036
F16 F 0.533 0.239 0.532
F17 F 0.586 0.549 0.287
F18 F 0.598 0.050 0.291
F19 F 0.714 0.058 0.066
F20 F 0.714 0.546 0.051
F21 F 0.727 0.542 0.551
F22 F 0.744 0.057 0.555
F23 F 0.796 0.349 0.803
F24 F 0.799 0.859 0.812
```

Results
For the total magnetization, the calculation gives 2.00 μB per formula unit. As for the formation energy: -24.5 eV/f.u. The distance to the lowest polymorph of the same formula is 0.009 eV/atom. As for the raw total energy: -6.478 eV/atom.

# 3
Compound: Sr2V2Se3O13
Source: the Materials Project database
Functional: GGA+U
Structure: optimized geometry

The structure in CIF format:
```
data_Sr2V2Se3O13
_cell_length_a 15.062
_cell_length_b 9.937
_cell_length_c 8.578
_cell_angle_alpha 90.00
_cell_angle_beta 96.91
_cell_angle_gamma 90.00
_symmetry_space_group_name_H-M 'P 1'
_symmetry_Int_Tables_number 1
loop_
_symmetry_equiv_pos_as_xyz
'x,y,z'
loop_
_atom_site_label
_atom_site_type_symbol
_atom_site_fract_x
_atom_site_fract_y
_atom_site_fract_z
Sr1 Sr 0.041 0.183 0.143
Sr2 Sr 0.041 0.317 0.643
Sr3 Sr 0.354 0.220 0.594
Sr4 Sr 0.354 0.280 0.094
Sr5 Sr 0.646 0.720 0.906
Sr6 Sr 0.646 0.780 0.406
Sr7 Sr 0.959 0.683 0.357
Sr8 Sr 0.959 0.817 0.857
V1 V 0.134 0.508 0.041
V2 V 0.134 0.992 0.541
V3 V 0.416 0.553 0.404
V4 V 0.416 0.947 0.904
V5 V 0.584 0.053 0.096
V6 V 0.584 0.447 0.596
V7 V 0.866 0.008 0.459
V8 V 0.866 0.492 0.959
Se1 Se 0.146 0.676 0.709
Se2 Se 0.146 0.824 0.209
Se3 Se 0.211 0.042 0.903
Se4 Se 0.211 0.458 0.403
Se5 Se 0.419 0.542 0.797
Se6 Se 0.419 0.958 0.297
Se7 Se 0.581 0.042 0.703
Se8 Se 0.581 0.458 0.203
Se9 Se 0.789 0.542 0.597
Se10 Se 0.789 0.958 0.097
Se11 Se 0.854 0.176 0.791
Se12 Se 0.854 0.324 0.291
O1 O 0.063 0.590 0.598
O2 O 0.063 0.910 0.098
O3 O 0.068 0.107 0.437
O4 O 0.068 0.393 0.937
O5 O 0.108 0.661 0.895
O6 O 0.108 0.839 0.395
O7 O 0.111 0.657 0.195
O8 O 0.111 0.843 0.695
O9 O 0.136 0.099 0.738
O10 O 0.136 0.401 0.238
O11 O 0.191 0.157 0.040
O12 O 0.191 0.343 0.540
O13 O 0.239 0.019 0.509
O14 O 0.239 0.481 0.009
O15 O 0.313 0.107 0.854
O16 O 0.313 0.393 0.354
O17 O 0.350 0.666 0.310
O18 O 0.350 0.834 0.810
O19 O 0.365 0.554 0.605
O20 O 0.365 0.946 0.105
O21 O 0.398 0.121 0.336
O22 O 0.398 0.379 0.836
O23 O 0.465 0.043 0.728
O24 O 0.465 0.457 0.228
O25 O 0.485 0.132 0.032
O26 O 0.485 0.368 0.532
O27 O 0.515 0.632 0.468
O28 O 0.515 0.868 0.968
O29 O 0.535 0.543 0.772
O30 O 0.535 0.957 0.272
O31 O 0.602 0.621 0.164
O32 O 0.602 0.879 0.664
O33 O 0.635 0.054 0.895
O34 O 0.635 0.446 0.395
O35 O 0.650 0.166 0.190
O36 O 0.650 0.334 0.690
O37 O 0.687 0.607 0.646
O38 O 0.687 0.893 0.146
O39 O 0.761 0.519 0.991
O40 O 0.761 0.981 0.491
O41 O 0.809 0.657 0.460
O42 O 0.809 0.843 0.960
O43 O 0.864 0.599 0.762
O44 O 0.864 0.901 0.262
O45 O 0.889 0.157 0.305
O46 O 0.889 0.343 0.805
O47 O 0.892 0.161 0.605
O48 O 0.892 0.339 0.105
O49 O 0.932 0.607 0.063
O50 O 0.932 0.893 0.563
O51 O 0.937 0.090 0.902
O52 O 0.937 0.410 0.402
```

Results
For the total magnetization, the calculation gives 0.00 μB per formula unit. As for the formation energy: -43.3 eV/f.u. As for the raw total energy: -6.364 eV/atom.

# 4
Compound: Li2Fe3F8
Source: the Materials Project database
Functional: GGA+U
Structure: optimized geometry

The structure in CIF format:
```
data_Li2Fe3F8
_cell_length_a 5.644
_cell_length_b 12.361
_cell_length_c 5.355
_cell_angle_alpha 90.00
_cell_angle_beta 112.56
_cell_angle_gamma 90.00
_symmetry_space_group_name_H-M 'P 1'
_symmetry_Int_Tables_number 1
loop_
_symmetry_equiv_pos_as_xyz
'x,y,z'
loop_
_atom_site_label
_atom_site_type_symbol
_atom_site_fract_x
_atom_site_fract_y
_atom_site_fract_z
Li1 Li 0.202 0.117 0.096
Li2 Li 0.202 0.383 0.596
Li3 Li 0.798 0.617 0.404
Li4 Li 0.798 0.883 0.904
Fe1 Fe 0.000 0.000 0.500
Fe2 Fe 0.000 0.500 0.000
Fe3 Fe 0.382 0.666 0.731
Fe4 Fe 0.382 0.834 0.231
Fe5 Fe 0.618 0.166 0.769
Fe6 Fe 0.618 0.334 0.269
F1 F 0.104 0.676 0.374
F2 F 0.104 0.824 0.874
F3 F 0.205 0.520 0.773
F4 F 0.205 0.980 0.273
F5 F 0.281 0.087 0.778
F6 F 0.281 0.413 0.278
F7 F 0.474 0.190 0.366
F8 F 0.474 0.310 0.866
F9 F 0.526 0.690 0.134
F10 F 0.526 0.810 0.634
F11 F 0.719 0.587 0.722
F12 F 0.719 0.913 0.222
F13 F 0.795 0.020 0.727
F14 F 0.795 0.480 0.227
F15 F 0.896 0.176 0.126
F16 F 0.896 0.324 0.626
```

Results
For the total magnetization, the calculation gives 12.00 μB per formula unit. As for the formation energy: -34.9 eV/f.u. The distance to the lowest polymorph of the same formula is 0.057 eV/atom. As for the raw total energy: -5.306 eV/atom.

# 5
Compound: Cs2FeCl5O
Source: the Materials Project database
Functional: GGA+U
Structure: optimized geometry

The structure in CIF format:
```
data_Cs2FeCl5O
_cell_length_a 9.572
_cell_length_b 9.572
_cell_length_c 8.790
_cell_angle_alpha 90.00
_cell_angle_beta 90.00
_cell_angle_gamma 135.99
_symmetry_space_group_name_H-M 'P 1'
_symmetry_Int_Tables_number 1
loop_
_symmetry_equiv_pos_as_xyz
'x,y,z'
loop_
_atom_site_label
_atom_site_type_symbol
_atom_site_fract_x
_atom_site_fract_y
_atom_site_fract_z
Cs1 Cs 0.031 0.969 0.750
Cs2 Cs 0.265 0.735 0.250
Cs3 Cs 0.735 0.265 0.750
Cs4 Cs 0.969 0.031 0.250
Fe1 Fe 0.383 0.617 0.750
Fe2 Fe 0.617 0.383 0.250
Cl1 Cl 0.149 0.379 0.557
Cl2 Cl 0.149 0.379 0.943
Cl3 Cl 0.253 0.747 0.750
Cl4 Cl 0.379 0.149 0.057
Cl5 Cl 0.379 0.149 0.443
Cl6 Cl 0.621 0.851 0.557
Cl7 Cl 0.621 0.851 0.943
Cl8 Cl 0.747 0.253 0.250
Cl9 Cl 0.851 0.621 0.057
Cl10 Cl 0.851 0.621 0.443
O1 O 0.483 0.517 0.750
O2 O 0.517 0.483 0.250
```

Results
For the total magnetization, the calculation gives 3.00 μB per formula unit. As for the formation energy: -9.9 eV/f.u. As for the raw total energy: -3.485 eV/atom.

# 6
Compound: Ca3Si3Mo2O12
Source: the Materials Project database
Functional: GGA+U
Structure: optimized geometry

The structure in CIF format:
```
data_Ca3Si3Mo2O12
_cell_length_a 10.786
_cell_length_b 10.786
_cell_length_c 10.786
_cell_angle_alpha 109.47
_cell_angle_beta 109.47
_cell_angle_gamma 109.47
_symmetry_space_group_name_H-M 'P 1'
_symmetry_Int_Tables_number 1
loop_
_symmetry_equiv_pos_as_xyz
'x,y,z'
loop_
_atom_site_label
_atom_site_type_symbol
_atom_site_fract_x
_atom_site_fract_y
_atom_site_fract_z
Ca1 Ca 0.125 0.250 0.375
Ca2 Ca 0.125 0.375 0.750
Ca3 Ca 0.250 0.375 0.125
Ca4 Ca 0.250 0.875 0.625
Ca5 Ca 0.375 0.125 0.250
Ca6 Ca 0.375 0.750 0.125
Ca7 Ca 0.625 0.250 0.875
Ca8 Ca 0.625 0.875 0.750
Ca9 Ca 0.750 0.125 0.375
Ca10 Ca 0.750 0.625 0.875
Ca11 Ca 0.875 0.625 0.250
Ca12 Ca 0.875 0.750 0.625
Si1 Si 0.125 0.750 0.875
Si2 Si 0.125 0.875 0.250
Si3 Si 0.250 0.125 0.875
Si4 Si 0.250 0.625 0.375
Si5 Si 0.375 0.250 0.625
Si6 Si 0.375 0.625 0.750
Si7 Si 0.625 0.375 0.250
Si8 Si 0.625 0.750 0.375
Si9 Si 0.750 0.375 0.625
Si10 Si 0.750 0.875 0.125
Si11 Si 0.875 0.125 0.750
Si12 Si 0.875 0.250 0.125
Mo1 Mo 0.000 0.000 0.000
Mo2 Mo 0.000 0.000 0.500
Mo3 Mo 0.000 0.500 0.000
Mo4 Mo 0.000 0.500 0.500
Mo5 Mo 0.500 0.000 0.000
Mo6 Mo 0.500 0.000 0.500
Mo7 Mo 0.500 0.500 0.000
Mo8 Mo 0.500 0.500 0.500
O1 O 0.010 0.211 0.120
O2 O 0.010 0.299 0.891
O3 O 0.091 0.711 0.701
O4 O 0.091 0.880 0.391
O5 O 0.109 0.620 0.409
O6 O 0.109 0.990 0.701
O7 O 0.120 0.010 0.211
O8 O 0.120 0.609 0.909
O9 O 0.201 0.211 0.591
O10 O 0.201 0.490 0.609
O11 O 0.211 0.120 0.010
O12 O 0.211 0.591 0.201
O13 O 0.289 0.299 0.909
O14 O 0.289 0.490 0.380
O15 O 0.299 0.891 0.010
O16 O 0.299 0.909 0.289
O17 O 0.380 0.289 0.490
O18 O 0.380 0.591 0.891
O19 O 0.391 0.091 0.880
O20 O 0.391 0.799 0.510
O21 O 0.409 0.109 0.620
O22 O 0.409 0.799 0.789
O23 O 0.490 0.380 0.289
O24 O 0.490 0.609 0.201
O25 O 0.510 0.391 0.799
O26 O 0.510 0.620 0.711
O27 O 0.591 0.201 0.211
O28 O 0.591 0.891 0.380
O29 O 0.609 0.201 0.490
O30 O 0.609 0.909 0.120
O31 O 0.620 0.409 0.109
O32 O 0.620 0.711 0.510
O33 O 0.701 0.091 0.711
O34 O 0.701 0.109 0.990
O35 O 0.711 0.510 0.620
O36 O 0.711 0.701 0.091
O37 O 0.789 0.409 0.799
O38 O 0.789 0.880 0.990
O39 O 0.799 0.510 0.391
O40 O 0.799 0.789 0.409
O41 O 0.880 0.391 0.091
O42 O 0.880 0.990 0.789
O43 O 0.891 0.010 0.299
O44 O 0.891 0.380 0.591
O45 O 0.909 0.120 0.609
O46 O 0.909 0.289 0.299
O47 O 0.990 0.701 0.109
O48 O 0.990 0.789 0.880
```

Results
For the total magnetization, the calculation gives 6.00 μB per formula unit. As for the formation energy: -61.3 eV/f.u. As for the raw total energy: -7.502 eV/atom.

# 7
Compound: Li3FePCO7
Source: the Materials Project database
Functional: GGA+U
Structure: optimized geometry

The structure in CIF format:
```
data_Li3FePCO7
_cell_length_a 6.599
_cell_length_b 8.468
_cell_length_c 10.143
_cell_angle_alpha 87.51
_cell_angle_beta 89.98
_cell_angle_gamma 90.00
_symmetry_space_group_name_H-M 'P 1'
_symmetry_Int_Tables_number 1
loop_
_symmetry_equiv_pos_as_xyz
'x,y,z'
loop_
_atom_site_label
_atom_site_type_symbol
_atom_site_fract_x
_atom_site_fract_y
_atom_site_fract_z
Li1 Li 0.519 0.999 0.018
Li2 Li 0.519 0.999 0.518
Li3 Li 0.019 0.001 0.482
Li4 Li 0.019 0.001 0.982
Li5 Li 0.209 0.177 0.212
Li6 Li 0.209 0.177 0.712
Li7 Li 0.708 0.823 0.288
Li8 Li 0.708 0.823 0.788
Li9 Li 0.392 0.522 0.219
Li10 Li 0.392 0.522 0.719
Li11 Li 0.892 0.478 0.281
Li12 Li 0.891 0.478 0.781
Fe1 Fe 0.749 0.281 0.517
Fe2 Fe 0.250 0.719 0.983
Fe3 Fe 0.749 0.281 0.017
Fe4 Fe 0.249 0.719 0.483
P1 P 0.249 0.330 0.475
P2 P 0.249 0.330 0.975
P3 P 0.749 0.670 0.025
P4 P 0.749 0.670 0.525
C1 C 0.740 0.132 0.265
C2 C 0.740 0.131 0.765
C3 C 0.240 0.868 0.235
C4 C 0.241 0.869 0.735
O1 O 0.714 0.026 0.178
O2 O 0.715 0.026 0.678
O3 O 0.215 0.973 0.322
O4 O 0.215 0.974 0.822
O5 O 0.758 0.086 0.389
O6 O 0.758 0.085 0.889
O7 O 0.259 0.914 0.111
O8 O 0.258 0.915 0.611
O9 O 0.067 0.234 0.038
O10 O 0.067 0.234 0.538
O11 O 0.568 0.766 0.462
O12 O 0.568 0.766 0.962
O13 O 0.438 0.229 0.010
O14 O 0.438 0.229 0.511
O15 O 0.938 0.771 0.490
O16 O 0.938 0.771 0.989
O17 O 0.751 0.280 0.231
O18 O 0.751 0.280 0.731
O19 O 0.251 0.719 0.269
O20 O 0.251 0.720 0.769
O21 O 0.217 0.362 0.325
O22 O 0.217 0.362 0.825
O23 O 0.717 0.638 0.175
O24 O 0.717 0.638 0.675
O25 O 0.271 0.491 0.044
O26 O 0.271 0.491 0.543
O27 O 0.771 0.509 0.456
O28 O 0.771 0.509 0.956
```

Results
For the total magnetization, the calculation gives 0.00 μB per formula unit. As for the formation energy: -30.4 eV/f.u. The distance to the lowest polymorph of the same formula is 0.008 eV/atom. As for the raw total energy: -6.676 eV/atom.

# 8
Compound: TmMgFe2O4
Source: the Materials Project database
Functional: GGA+U
Structure: optimized geometry

The structure in CIF format:
```
data_TmMgFe2O4
_cell_length_a 11.014
_cell_length_b 11.014
_cell_length_c 11.014
_cell_angle_alpha 17.14
_cell_angle_beta 17.14
_cell_angle_gamma 17.14
_symmetry_space_group_name_H-M 'P 1'
_symmetry_Int_Tables_number 1
loop_
_symmetry_equiv_pos_as_xyz
'x,y,z'
loop_
_atom_site_label
_atom_site_type_symbol
_atom_site_fract_x
_atom_site_fract_y
_atom_site_fract_z
Tm1 Tm 0.000 0.000 0.000
Mg1 Mg 0.500 0.500 0.500
Fe1 Fe 0.237 0.237 0.237
Fe2 Fe 0.763 0.763 0.763
O1 O 0.132 0.132 0.132
O2 O 0.298 0.298 0.298
O3 O 0.702 0.702 0.702
O4 O 0.868 0.868 0.868
```

Results
For the total magnetization, the calculation gives 7.07 μB per formula unit. As for the formation energy: -16.8 eV/f.u. The distance to the lowest polymorph of the same formula is 0.159 eV/atom. As for the raw total energy: -6.549 eV/atom.